Entry 1:
Compound: La3MgTi2N3O4
Source: the Materials Project database
Functional: PBE
Structure: optimized geometry

a b c (Å): 3.7960 13.3732 3.7960
angles (deg): 81.84 90.00 98.16
With the nearest neighbours (Å) after each atom.
Atoms (fractional coordinates):
O (0.2114, 0.4228, 0.7886)  2 Mg 2.15
O (0.8981, 0.7962, 0.6019)  2 Ti 2.02
O (0.6019, 0.2038, 0.8981)  2 Ti 2.02
O (0.7886, 0.5772, 0.2114)  2 Mg 2.15
La (0.5000, 0.0000, 0.5000)  4 N 2.68
La (0.6546, 0.3093, 0.3454)  2 O 2.35, 2 N 2.40
La (0.3454, 0.6907, 0.6546)  2 O 2.35, 2 N 2.40
Ti (0.0753, 0.1505, 0.9247)  3 N 1.97-1.99, 2 O 2.02
Ti (0.9247, 0.8495, 0.0753)  3 N 1.97-1.99, 2 O 2.02
Mg (0.2500, 0.5000, 0.2500)  4 O 2.15
N (0.0986, 0.1972, 0.4014)  2 Ti 1.99
N (0.4014, 0.8028, 0.0986)  2 Ti 1.99
N (0.0000, 0.0000, 0.0000)  2 Ti 1.97

* calculated formation energy: -2.251 eV per atom
* offset from the most stable computed form: 169 meV per atom

---

Entry 2:
Compound: Ca3Nb2N4
Source: the Materials Project database
Functional: PBE
Structure: optimized geometry

a b c (Å): 5.8819 10.6354 9.3875
angles (deg): 90.00 90.00 90.00
With the nearest neighbours (Å) after each atom.
Atoms (fractional coordinates):
Nb (0.2500, 0.5000, 0.2632)  4 N 2.04-2.05
Nb (0.6230, 0.2500, 0.7500)  4 N 2.09-2.14
Nb (0.1230, 0.2500, 0.2500)  4 N 2.09-2.14
Nb (0.8770, 0.7500, 0.7500)  4 N 2.09-2.14
Nb (0.7500, 0.0000, 0.7632)  4 N 2.04-2.05
Nb (0.3770, 0.7500, 0.2500)  4 N 2.09-2.14
Nb (0.7500, 0.5000, 0.7368)  4 N 2.04-2.05
Nb (0.2500, 0.0000, 0.2368)  4 N 2.04-2.05
N (0.9852, 0.4177, 0.1593)  2 Nb 2.04-2.14
N (0.1566, 0.6518, 0.3840)  2 Nb 2.05-2.09
N (0.6566, 0.8482, 0.8840)  2 Nb 2.05-2.09
N (0.1566, 0.8482, 0.1160)  2 Nb 2.05-2.09
N (0.4852, 0.0823, 0.6593)  2 Nb 2.04-2.14
N (0.8434, 0.3482, 0.6160)  2 Nb 2.05-2.09
N (0.6566, 0.6518, 0.6160)  2 Nb 2.05-2.09
N (0.4852, 0.4177, 0.8407)  2 Nb 2.04-2.14
N (0.5148, 0.5823, 0.1593)  2 Nb 2.04-2.14
N (0.8434, 0.1518, 0.8840)  2 Nb 2.05-2.09
N (0.3434, 0.3482, 0.3840)  2 Nb 2.05-2.09
N (0.3434, 0.1518, 0.1160)  2 Nb 2.05-2.09
N (0.0148, 0.5823, 0.8407)  2 Nb 2.04-2.14
N (0.9852, 0.0823, 0.3407)  2 Nb 2.04-2.14
N (0.0148, 0.9177, 0.6593)  2 Nb 2.04-2.14
N (0.5148, 0.9177, 0.3407)  2 Nb 2.04-2.14
Ca (0.1149, 0.1559, 0.5803)  4 N 2.43-2.70
Ca (0.3851, 0.6559, 0.9197)  4 N 2.43-2.70
Ca (0.6149, 0.1559, 0.4197)  4 N 2.43-2.70
Ca (0.8851, 0.8441, 0.4197)  4 N 2.43-2.70
Ca (0.8851, 0.6559, 0.0803)  4 N 2.43-2.70
Ca (0.2500, 0.5000, 0.5997)  6 N 2.65-2.89
Ca (0.1149, 0.3441, 0.9197)  4 N 2.43-2.70
Ca (0.7500, 0.0000, 0.0997)  6 N 2.65-2.89
Ca (0.6149, 0.3441, 0.0803)  4 N 2.43-2.70
Ca (0.3851, 0.8441, 0.5803)  4 N 2.43-2.70
Ca (0.7500, 0.5000, 0.4003)  6 N 2.65-2.89
Ca (0.2500, 0.0000, 0.9003)  6 N 2.65-2.89

* calculated formation energy: -0.937 eV per atom
* offset from the most stable computed form: 7 meV per atom

---

Entry 3:
Compound: CeB2Rh2C
Source: the Materials Project database
Functional: PBE
Structure: optimized geometry

a b c (Å): 5.7878 5.7878 5.7878
angles (deg): 141.03 141.03 56.29
With the nearest neighbours (Å) after each atom.
Atoms (fractional coordinates):
B (0.3526, 0.3526, 0.0000)  1 C 1.50
B (0.6474, 0.6474, 0.0000)  1 C 1.50
C (0.5000, 0.5000, 0.0000)  2 B 1.50
Ce (0.0000, 0.0000, 0.0000)  4 C 2.73
Rh (0.7500, 0.2500, 0.5000)  4 B 2.20
Rh (0.2500, 0.7500, 0.5000)  4 B 2.20

* calculated formation energy: -0.615 eV per atom

---

Entry 4:
Compound: NaHfPCO7
Source: the Materials Project database
Functional: PBE
Structure: optimized geometry

a b c (Å): 6.6555 5.5552 9.3080
angles (deg): 87.66 90.00 90.00
With the nearest neighbours (Å) after each atom.
Atoms (fractional coordinates):
P (0.7400, 0.2756, 0.5612)  4 O 1.53-1.56
P (0.2400, 0.7244, 0.4388)  4 O 1.53-1.56
O (0.4263, 0.7793, 0.3443)  1 P 1.54
O (0.2560, 0.8679, 0.5786)  1 P 1.56
O (0.9263, 0.2207, 0.6557)  1 P 1.54
O (0.7634, 0.9405, 0.1321)  1 C 1.34
O (0.7317, 0.5485, 0.5177)  1 P 1.55
O (0.5501, 0.1997, 0.6449)  1 P 1.53
O (0.2317, 0.4515, 0.4823)  1 P 1.55
O (0.2760, 0.4521, 0.8222)  1 C 1.35
O (0.0501, 0.8003, 0.3551)  1 P 1.53
O (0.7760, 0.5479, 0.1778)  1 C 1.35
O (0.2634, 0.0595, 0.8679)  1 C 1.34
O (0.2532, 0.3128, 0.0557)  1 C 1.23
O (0.7560, 0.1321, 0.4214)  1 P 1.56
O (0.7532, 0.6872, 0.9443)  1 C 1.23
Hf (0.7333, 0.7909, 0.3426)  6 O 2.04-2.11
Hf (0.2333, 0.2091, 0.6574)  6 O 2.04-2.11
Na (0.5064, 0.7592, 0.7964)  2 O 2.17-2.30
Na (0.0064, 0.2408, 0.2036)  2 O 2.17-2.30
C (0.7657, 0.7233, 0.0737)  3 O 1.23-1.35
C (0.2657, 0.2767, 0.9263)  3 O 1.23-1.35

* calculated formation energy: -2.788 eV per atom
* largest piezoelectric modulus: 0.41 C/m2